1.
VASP calculation (PBE) on a relaxed structure of Cs2BiAuBr6.

abc: 8.100 8.100 8.100
angles: 60.00 60.00 60.00
Element x y z (fractional)
1 Cs 0.250 0.250 0.250
2 Cs 0.750 0.750 0.750
3 Bi 0.000 0.000 0.000
4 Au 0.500 0.500 0.500
5 Br 0.252 0.252 0.748
6 Br 0.252 0.748 0.252
7 Br 0.252 0.748 0.748
8 Br 0.748 0.252 0.252
9 Br 0.748 0.252 0.748
10 Br 0.748 0.748 0.252

Formation energy from the elements   -1.361 eV/atom



2.
VASP calculation (PBE) on a relaxed structure of Mn3Fe2N4.

abc: 4.692 7.147 10.173
angles: 90.00 90.00 90.00
Element x y z (fractional)
1 Mn 0.085 0.140 0.048
2 Mn 0.085 0.360 0.452
3 Mn 0.250 0.000 0.500
4 Mn 0.250 0.500 0.000
5 Mn 0.415 0.640 0.452
6 Mn 0.415 0.860 0.048
7 Mn 0.585 0.140 0.952
8 Mn 0.585 0.360 0.548
9 Mn 0.750 0.000 0.500
10 Mn 0.750 0.500 0.000
11 Mn 0.915 0.640 0.548
12 Mn 0.915 0.860 0.952
13 Fe 0.202 0.750 0.250
14 Fe 0.250 0.000 0.747
15 Fe 0.250 0.500 0.753
16 Fe 0.298 0.250 0.250
17 Fe 0.702 0.750 0.750
18 Fe 0.750 0.000 0.253
19 Fe 0.750 0.500 0.247
20 Fe 0.798 0.250 0.750
21 N 0.006 0.120 0.378
22 N 0.006 0.380 0.122
23 N 0.018 0.595 0.373
24 N 0.018 0.905 0.127
25 N 0.482 0.095 0.127
26 N 0.482 0.405 0.373
27 N 0.494 0.620 0.122
28 N 0.494 0.880 0.378
29 N 0.506 0.120 0.622
30 N 0.506 0.380 0.878
31 N 0.518 0.595 0.627
32 N 0.518 0.905 0.873
33 N 0.982 0.095 0.873
34 N 0.982 0.405 0.627
35 N 0.994 0.620 0.878
36 N 0.994 0.880 0.622

Formation energy from the elements   -0.162 eV/atom
Relative energy among the computed polymorphs   121 meV per atom



3.
VASP calculation (PBE) on a relaxed structure of PrN.

abc: 5.565 5.565 5.565
angles: 90.00 90.00 90.00
Element x y z (fractional)
1 Pr 0.000 0.000 0.000
2 Pr 0.000 0.500 0.500
3 Pr 0.500 0.000 0.500
4 Pr 0.500 0.500 0.000
5 N 0.250 0.250 0.750
6 N 0.250 0.750 0.250
7 N 0.750 0.250 0.250
8 N 0.750 0.750 0.750

Formation energy from the elements   -1.345 eV/atom
Piezoelectric modulus e_max   0.17 C/m²



4.
VASP calculation (PBE) on a relaxed structure of Mg6BiCO8.

abc: 4.456 4.456 8.978
angles: 90.00 90.00 90.00
Element x y z (fractional)
1 Mg 0.000 0.000 0.000
2 Mg 0.000 0.000 0.500
3 Mg 0.000 0.500 0.223
4 Mg 0.000 0.500 0.777
5 Mg 0.500 0.000 0.223
6 Mg 0.500 0.000 0.777
7 Bi 0.500 0.500 0.500
8 C 0.500 0.500 0.000
9 O 0.000 0.000 0.250
10 O 0.000 0.000 0.750
11 O 0.000 0.500 0.000
12 O 0.000 0.500 0.500
13 O 0.500 0.000 0.000
14 O 0.500 0.000 0.500
15 O 0.500 0.500 0.242
16 O 0.500 0.500 0.758

Formation energy from the elements   -1.981 eV/atom
Relative energy among the computed polymorphs   38 meV per atom



Please write out number 3 again, unchanged.
VASP calculation (PBE) on a relaxed structure of PrN.

abc: 5.565 5.565 5.565
angles: 90.00 90.00 90.00
Element x y z (fractional)
1 Pr 0.000 0.000 0.000
2 Pr 0.000 0.500 0.500
3 Pr 0.500 0.000 0.500
4 Pr 0.500 0.500 0.000
5 N 0.250 0.250 0.750
6 N 0.250 0.750 0.250
7 N 0.750 0.250 0.250
8 N 0.750 0.750 0.750

Formation energy from the elements   -1.345 eV/atom
Piezoelectric modulus e_max   0.17 C/m²